# TmFeCu

Crystalline TmFeCu at its relaxed geometry (GGA-PBE, Materials Project).

Cell and atoms, written as CIF:
```
data_TmFeCu
_symmetry_space_group_name_H-M 'P 1'
_symmetry_Int_Tables_number 1
_cell_length_a 5.1653
_cell_length_b 5.1653
_cell_length_c 5.1653
_cell_angle_alpha 121.78
_cell_angle_beta 121.28
_cell_angle_gamma 87.37
loop_
_symmetry_equiv_pos_as_xyz
'x,y,z'
loop_
_atom_site_label
_atom_site_type_symbol
_atom_site_fract_x
_atom_site_fract_y
_atom_site_fract_z
_atom_site_occupancy
Cu1 Cu 0.5000 0.5000 0.0000 1
Cu2 Cu 0.0000 0.5000 0.5000 1
Tm1 Tm 0.3714 0.1214 0.2500 1
Tm2 Tm 0.6286 0.8786 0.7500 1
Fe1 Fe 0.0000 0.5000 0.0000 1
Fe2 Fe 0.0000 0.0000 0.5000 1
```

## Properties
ΔE_f (eV per formula unit): -0.31
Uncorrected energy (eV per atom): -5.784
Magnetic moment (μB per atom): 0.433